Compound: BaNaEuWO6
Source: the Materials Project
Functional: PBE with a Hubbard U
Structure: relaxed

Values from the calculation:
Crystal system: orthorhombic
Energy relative to the lowest polymorph listed for this composition (meV/atom): 0
Magnetic moment (μB per cell): 24.00

```
data_BaNaEuWO6
_cell_length_a 8.428
_cell_length_b 8.463
_cell_length_c 8.477
_cell_angle_alpha 90.00
_cell_angle_beta 90.00
_cell_angle_gamma 90.00
_space_group_name_H-M_alt 'P n n n'
_space_group_IT_number 48
loop_
_space_group_symop_operation_xyz
'x,y,z'
'-x,-y,-z'
'-x+1/2,-y+1/2,z'
'x+1/2,y+1/2,-z'
'x,-y+1/2,-z+1/2'
'-x,y+1/2,z+1/2'
'-x+1/2,y,-z+1/2'
'x+1/2,-y,z+1/2'
loop_
_atom_site_label
_atom_site_type_symbol
_atom_site_fract_x
_atom_site_fract_y
_atom_site_fract_z
Ba1 Ba 0.250 0.250 0.250
Ba2 Ba 0.250 0.750 0.250
Na1 Na 0.250 0.250 0.750
Na2 Na 0.250 0.750 0.750
Eu1 Eu 0.000 0.000 0.000
W1 W 0.000 0.000 0.500
O1 O 0.030 0.016 0.272
O2 O 0.039 0.227 0.524
O3 O 0.228 0.542 0.981
```